1.
Entry from the Materials Project: a geometry-optimized Na30Mg4Ta20Si33S3O144 structure (PBE).

Energy relative to the elements in eV per atom: -3.013
VASP energy in eV/atom: -7.664

Cell and atoms, written as CIF:
```
data_Na30Mg4Ta20Si33S3O144
_space_group_name_H-M_alt 'P 1'
_space_group_IT_number 1
_space_group_name_Hall 'P 1'
_cell_length_a 9.016
_cell_length_b 15.600
_cell_length_c 22.485
_cell_angle_alpha 90.01
_cell_angle_beta 90.05
_cell_angle_gamma 90.01
loop_
_atom_site_label
_atom_site_type_symbol
_atom_site_fract_x
_atom_site_fract_y
_atom_site_fract_z
_atom_site_occupancy
Na1 Na 0.000 0.000 0.000 1
Na2 Na 0.001 0.306 0.669 1
Na3 Na 0.011 0.660 0.670 1
Na4 Na 0.016 0.335 0.328 1
Na5 Na 0.050 0.985 0.668 1
Na6 Na 0.170 0.483 0.918 1
Na7 Na 0.185 0.493 0.412 1
Na8 Na 0.189 0.153 0.577 1
Na9 Na 0.190 0.821 0.752 1
Na10 Na 0.192 0.816 0.250 1
Na11 Na 0.195 0.149 0.082 1
Na12 Na 0.299 0.646 0.827 1
Na13 Na 0.302 0.311 0.494 1
Na14 Na 0.350 0.659 0.170 1
Na15 Na 0.353 0.337 0.826 1
Na16 Na 0.358 0.007 0.498 1
Na17 Na 0.362 0.310 0.169 1
Na18 Na 0.478 0.466 0.327 1
Na19 Na 0.553 0.145 0.323 1
Na20 Na 0.671 0.644 0.582 1
Na21 Na 0.674 0.983 0.917 1
Na22 Na 0.676 0.311 0.746 1
Na23 Na 0.685 0.321 0.247 1
Na24 Na 0.686 0.640 0.083 1
Na25 Na 0.689 0.975 0.410 1
Na26 Na 0.853 0.162 0.170 1
Na27 Na 0.866 0.808 0.170 1
Na28 Na 0.884 0.132 0.494 1
Na29 Na 0.888 0.466 0.828 1
Na30 Na 0.978 0.970 0.331 1
Mg1 Mg 0.174 0.483 0.767 1
Mg2 Mg 0.175 0.153 0.439 1
Mg3 Mg 0.189 0.486 0.268 1
Mg4 Mg 0.686 0.981 0.268 1
Ta1 Ta 0.177 0.810 0.397 1
Ta2 Ta 0.180 0.156 0.228 1
Ta3 Ta 0.181 0.485 0.062 1
Ta4 Ta 0.181 0.486 0.564 1
Ta5 Ta 0.181 0.820 0.894 1
Ta6 Ta 0.185 0.152 0.728 1
Ta7 Ta 0.185 0.817 0.103 1
Ta8 Ta 0.186 0.152 0.939 1
Ta9 Ta 0.188 0.815 0.605 1
Ta10 Ta 0.675 0.320 0.605 1
Ta11 Ta 0.677 0.656 0.441 1
Ta12 Ta 0.677 0.984 0.064 1
Ta13 Ta 0.680 0.657 0.227 1
Ta14 Ta 0.682 0.313 0.398 1
Ta15 Ta 0.683 0.319 0.103 1
Ta16 Ta 0.683 0.656 0.726 1
Ta17 Ta 0.683 0.985 0.774 1
Ta18 Ta 0.685 0.981 0.562 1
Ta19 Ta 0.687 0.310 0.899 1
Ta20 Ta 0.688 0.656 0.943 1
Si1 Si 0.033 0.345 0.171 1
Si2 Si 0.035 0.296 0.834 1
Si3 Si 0.036 0.671 0.503 1
Si4 Si 0.037 0.960 0.500 1
Si5 Si 0.038 0.626 0.169 1
Si6 Si 0.039 0.007 0.834 1
Si7 Si 0.324 0.672 0.998 1
Si8 Si 0.327 0.298 0.338 1
Si9 Si 0.327 0.342 0.670 1
Si10 Si 0.328 0.626 0.671 1
Si11 Si 0.331 0.961 0.999 1
Si12 Si 0.390 0.651 0.334 1
Si13 Si 0.392 0.319 0.000 1
Si14 Si 0.397 0.984 0.667 1
Si15 Si 0.468 0.819 0.499 1
Si16 Si 0.472 0.150 0.834 1
Si17 Si 0.473 0.483 0.169 1
Si18 Si 0.533 0.844 0.170 1
Si19 Si 0.536 0.128 0.170 1
Si20 Si 0.536 0.170 0.501 1
Si21 Si 0.537 0.463 0.499 1
Si22 Si 0.538 0.795 0.834 1
Si23 Si 0.823 0.129 0.667 1
Si24 Si 0.826 0.798 0.334 1
Si25 Si 0.827 0.841 0.668 1
Si26 Si 0.829 0.462 0.998 1
Si27 Si 0.830 0.169 0.003 1
Si28 Si 0.889 0.149 0.337 1
Si29 Si 0.889 0.483 0.670 1
Si30 Si 0.895 0.819 0.001 1
Si31 Si 0.972 0.320 0.502 1
Si32 Si 0.972 0.651 0.834 1
Si33 Si 0.975 0.983 0.169 1
S1 S 0.323 0.005 0.335 1
S2 S 0.541 0.507 0.834 1
S3 S 0.825 0.509 0.335 1
O1 O 0.001 0.164 0.277 1
O2 O 0.003 0.502 0.613 1
O3 O 0.004 0.833 0.944 1
O4 O 0.006 0.136 0.673 1
O5 O 0.007 0.470 0.006 1
O6 O 0.008 0.829 0.663 1
O7 O 0.009 0.158 0.996 1
O8 O 0.012 0.806 0.339 1
O9 O 0.054 0.393 0.232 1
O10 O 0.067 0.237 0.773 1
O11 O 0.067 0.730 0.562 1
O12 O 0.068 0.567 0.108 1
O13 O 0.071 0.901 0.441 1
O14 O 0.073 0.063 0.894 1
O15 O 0.073 0.738 0.839 1
O16 O 0.074 0.235 0.500 1
O17 O 0.076 0.072 0.175 1
O18 O 0.077 0.405 0.507 1
O19 O 0.077 0.567 0.834 1
O20 O 0.082 0.899 0.157 1
O21 O 0.104 0.725 0.157 1
O22 O 0.105 0.241 0.890 1
O23 O 0.107 0.910 0.559 1
O24 O 0.110 0.054 0.774 1
O25 O 0.112 0.719 0.444 1
O26 O 0.113 0.246 0.174 1
O27 O 0.114 0.053 0.499 1
O28 O 0.114 0.388 0.834 1
O29 O 0.116 0.912 0.839 1
O30 O 0.117 0.578 0.508 1
O31 O 0.118 0.388 0.113 1
O32 O 0.128 0.591 0.224 1
O33 O 0.244 0.245 0.672 1
O34 O 0.245 0.920 0.336 1
O35 O 0.247 0.386 0.611 1
O36 O 0.247 0.593 0.730 1
O37 O 0.248 0.054 0.994 1
O38 O 0.249 0.577 0.006 1
O39 O 0.251 0.914 0.055 1
O40 O 0.253 0.391 0.332 1
O41 O 0.253 0.719 0.939 1
O42 O 0.253 0.722 0.659 1
O43 O 0.255 0.050 0.282 1
O44 O 0.266 0.250 0.395 1
O45 O 0.284 0.901 0.661 1
O46 O 0.286 0.067 0.674 1
O47 O 0.289 0.232 0.993 1
O48 O 0.289 0.404 0.007 1
O49 O 0.293 0.566 0.333 1
O50 O 0.293 0.567 0.612 1
O51 O 0.295 0.731 0.057 1
O52 O 0.295 0.741 0.340 1
O53 O 0.295 0.902 0.941 1
O54 O 0.296 0.054 0.390 1
O55 O 0.298 0.234 0.277 1
O56 O 0.306 0.393 0.731 1
O57 O 0.354 0.141 0.174 1
O58 O 0.357 0.466 0.507 1
O59 O 0.357 0.799 0.838 1
O60 O 0.358 0.820 0.159 1
O61 O 0.359 0.835 0.442 1
O62 O 0.361 0.158 0.497 1
O63 O 0.362 0.167 0.777 1
O64 O 0.362 0.502 0.112 1
O65 O 0.364 0.805 0.558 1
O66 O 0.365 0.138 0.892 1
O67 O 0.380 0.498 0.830 1
O68 O 0.387 0.458 0.228 1
O69 O 0.484 0.996 0.328 1
O70 O 0.498 0.997 0.607 1
O71 O 0.499 0.304 0.058 1
O72 O 0.500 0.330 0.940 1
O73 O 0.501 0.662 0.275 1
O74 O 0.505 0.325 0.658 1
O75 O 0.505 0.660 0.991 1
O76 O 0.505 0.970 0.724 1
O77 O 0.509 0.971 0.007 1
O78 O 0.510 0.637 0.675 1
O79 O 0.510 0.642 0.390 1
O80 O 0.515 0.305 0.338 1
O81 O 0.559 0.898 0.227 1
O82 O 0.568 0.241 0.839 1
O83 O 0.568 0.401 0.440 1
O84 O 0.568 0.906 0.506 1
O85 O 0.571 0.731 0.777 1
O86 O 0.572 0.560 0.888 1
O87 O 0.573 0.067 0.112 1
O88 O 0.575 0.735 0.494 1
O89 O 0.576 0.234 0.556 1
O90 O 0.577 0.571 0.174 1
O91 O 0.578 0.067 0.828 1
O92 O 0.582 0.400 0.156 1
O93 O 0.603 0.226 0.158 1
O94 O 0.608 0.548 0.780 1
O95 O 0.608 0.745 0.892 1
O96 O 0.609 0.415 0.556 1
O97 O 0.613 0.421 0.838 1
O98 O 0.613 0.745 0.172 1
O99 O 0.614 0.557 0.492 1
O100 O 0.615 0.216 0.441 1
O101 O 0.615 0.889 0.827 1
O102 O 0.616 0.095 0.228 1
O103 O 0.617 0.885 0.110 1
O104 O 0.623 0.078 0.506 1
O105 O 0.748 0.422 0.338 1
O106 O 0.749 0.556 0.992 1
O107 O 0.752 0.080 0.724 1
O108 O 0.753 0.885 0.609 1
O109 O 0.754 0.412 0.055 1
O110 O 0.756 0.218 0.944 1
O111 O 0.756 0.744 0.673 1
O112 O 0.757 0.074 0.006 1
O113 O 0.758 0.549 0.281 1
O114 O 0.758 0.891 0.334 1
O115 O 0.759 0.226 0.661 1
O116 O 0.765 0.740 0.390 1
O117 O 0.773 0.071 0.330 1
O118 O 0.783 0.400 0.658 1
O119 O 0.787 0.571 0.674 1
O120 O 0.789 0.733 0.995 1
O121 O 0.790 0.558 0.389 1
O122 O 0.792 0.403 0.939 1
O123 O 0.794 0.228 0.060 1
O124 O 0.794 0.738 0.274 1
O125 O 0.795 0.067 0.608 1
O126 O 0.795 0.244 0.338 1
O127 O 0.795 0.905 0.007 1
O128 O 0.798 0.903 0.725 1
O129 O 0.851 0.307 0.839 1
O130 O 0.854 0.639 0.890 1
O131 O 0.856 0.640 0.174 1
O132 O 0.856 0.970 0.506 1
O133 O 0.857 0.321 0.159 1
O134 O 0.858 0.660 0.493 1
O135 O 0.859 0.997 0.827 1
O136 O 0.861 0.307 0.559 1
O137 O 0.863 0.660 0.775 1
O138 O 0.864 0.332 0.442 1
O139 O 0.868 0.001 0.110 1
O140 O 0.884 0.961 0.228 1
O141 O 0.977 0.461 0.730 1
O142 O 0.984 0.496 0.331 1
O143 O 0.988 0.134 0.395 1
O144 O 0.995 0.804 0.060 1
```

=====

2.
Entry from the Materials Project: a geometry-optimized Na6Mg2Ta4Si6S3O36 structure (PBE).

Energy relative to the elements in eV per atom: -2.810
VASP energy in eV/atom: -7.318

Cell and atoms, written as CIF:
```
data_Na6Mg2Ta4Si6S3O36
_space_group_name_H-M_alt 'P 3 c 1'
_space_group_IT_number 158
_space_group_name_Hall 'P 3 -2"c'
_cell_length_a 8.9681
_cell_length_b 8.9681
_cell_length_c 22.4730
_cell_angle_alpha 90.00
_cell_angle_beta 90.00
_cell_angle_gamma 120.00
loop_
_atom_site_label
_atom_site_type_symbol
_atom_site_fract_x
_atom_site_fract_y
_atom_site_fract_z
_atom_site_occupancy
Na1 Na 0.0000 0.0000 0.0000 1
Na2 Na 0.0453 0.3466 0.0907 1
Na3 Na 0.3333 0.6667 0.1667 1
Na4 Na 0.6667 0.3333 0.3341 1
Mg1 Mg 0.0000 0.0000 0.3535 1
Mg2 Mg 0.3333 0.6667 0.0281 1
Ta1 Ta 0.0000 0.0000 0.1567 1
Ta2 Ta 0.3333 0.6667 0.3132 1
Ta3 Ta 0.6667 0.3333 0.1963 1
Ta4 Ta 0.6667 0.3333 0.4867 1
Si1 Si 0.2885 0.0056 0.2610 1
Si2 Si 0.3742 0.0442 0.5895 1
S1 S 0.0419 0.3772 0.9258 1
O1 O 0.0184 0.2039 0.9225 1
O2 O 0.0311 0.2003 0.1992 1
O3 O 0.1331 0.4614 0.9809 1
O4 O 0.1350 0.4869 0.8729 1
O5 O 0.1451 0.4942 0.5832 1
O6 O 0.1727 0.4801 0.2670 1
O7 O 0.1889 0.0384 0.5949 1
O8 O 0.2132 0.0401 0.3184 1
O9 O 0.4692 0.1723 0.5298 1
O10 O 0.4834 0.1623 0.2468 1
O11 O 0.5013 0.1343 0.9254 1
O12 O 0.5007 0.1400 0.6449 1
```